1.
Below is Li2Mn2P3H3O12 after structural relaxation, with properties calculated at the GGA+U level.

Calculated values
Crystal system   monoclinic
Energy with MP2020 corrections   -634.83 eV per cell
Formation energy   -2.308 eV per atom
Final energy   -6.688 eV per atom

Cell and atoms, written as CIF:
```
data_Li2Mn2P3H3O12
_cell_length_a 12.874
_cell_length_b 12.192
_cell_length_c 7.246
_cell_angle_alpha 90.00
_cell_angle_beta 96.28
_cell_angle_gamma 90.00
_symmetry_space_group_name_H-M 'P 1 21/c 1'
_symmetry_Int_Tables_number 14
_symmetry_space_group_name_Hall '-P 2ybc'
loop_
_atom_site_label
_atom_site_fract_x
_atom_site_fract_y
_atom_site_fract_z
Li1 0.195 0.141 0.015
Li2 0.268 0.626 0.914
Mn1 0.032 0.587 0.834
Mn2 0.349 0.557 0.363
P1 0.156 0.685 0.505
P2 0.179 0.090 0.590
P3 0.436 0.137 0.115
H1 0.084 0.652 0.227
H2 0.315 0.214 0.590
H3 0.465 0.178 0.821
O1 0.078 0.623 0.357
O2 0.088 0.063 0.441
O3 0.110 0.699 0.033
O4 0.127 0.111 0.773
O5 0.162 0.615 0.683
O6 0.230 0.201 0.531
O7 0.263 0.501 0.111
O8 0.265 0.699 0.434
O9 0.334 0.069 0.065
O10 0.406 0.243 0.659
O11 0.484 0.591 0.235
O12 0.498 0.135 0.934
```

2.
Below is LiMn2P2H4O10 after structural relaxation, with properties calculated at the GGA+U level.

Calculated values
Crystal system   triclinic
Energy with MP2020 corrections   -134.80 eV per cell
Formation energy   -2.142 eV per atom
Final energy   -6.558 eV per atom

Cell and atoms, written as CIF:
```
data_LiMn2P2H4O10
_cell_length_a 5.089
_cell_length_b 5.485
_cell_length_c 7.691
_cell_angle_alpha 103.58
_cell_angle_beta 104.40
_cell_angle_gamma 99.43
_symmetry_space_group_name_H-M 'P 1'
_symmetry_Int_Tables_number 1
_symmetry_space_group_name_Hall 'P 1'
loop_
_atom_site_label
_atom_site_fract_x
_atom_site_fract_y
_atom_site_fract_z
Li1 0.000 0.000 0.000
Mn1 0.418 0.622 0.083
Mn2 0.896 0.109 0.577
P1 0.324 0.185 0.333
P2 0.482 0.059 0.828
H1 0.024 0.641 0.760
H2 0.787 0.559 0.380
H3 0.830 0.469 0.854
H4 0.977 0.751 0.299
O1 0.013 0.499 0.820
O2 0.151 0.976 0.764
O3 0.198 0.253 0.497
O4 0.214 0.892 0.224
O5 0.236 0.332 0.190
O6 0.581 0.354 0.911
O7 0.592 0.967 0.658
O8 0.594 0.919 0.973
O9 0.650 0.262 0.415
O10 0.805 0.722 0.343
```

3.
Below is Li4MnP6H8O22 after structural relaxation, with properties calculated at the GGA+U level.

Calculated values
Crystal system   triclinic
Energy with MP2020 corrections   -276.59 eV per cell
Formation energy   -2.227 eV per atom
Final energy   -6.337 eV per atom

Cell and atoms, written as CIF:
```
data_Li4MnP6H8O22
_cell_length_a 7.011
_cell_length_b 7.493
_cell_length_c 8.574
_cell_angle_alpha 84.98
_cell_angle_beta 76.32
_cell_angle_gamma 86.00
_symmetry_space_group_name_H-M 'P -1'
_symmetry_Int_Tables_number 2
_symmetry_space_group_name_Hall '-P 1'
loop_
_atom_site_label
_atom_site_fract_x
_atom_site_fract_y
_atom_site_fract_z
Li1 0.065 0.351 0.085
Li2 0.321 0.441 0.738
Mn1 0.000 0.000 0.500
P1 0.222 0.018 0.809
P2 0.345 0.707 0.994
P3 0.443 0.214 0.333
H1 0.017 0.390 0.384
H2 0.036 0.588 0.314
H3 0.267 0.749 0.310
H4 0.277 0.722 0.492
O1 0.019 0.525 0.699
O2 0.069 0.931 0.749
O3 0.185 0.764 0.422
O4 0.198 0.213 0.839
O5 0.209 0.579 0.953
O6 0.234 0.181 0.413
O7 0.253 0.910 0.975
O8 0.403 0.677 0.151
O9 0.437 0.979 0.688
O10 0.452 0.282 0.146
O11 0.452 0.656 0.597
```